16
Lattice="-1.547 5.406 -3.307 0.556 -5.599 -3.300 -10.199 -1.948 1.588" Properties=species:S:1:pos:R:3 comment="CaCeMg14 | the Materials Project | GGA-PBE | relaxed" formation_enthalpy_0k_ev_per_atom=0.06 final_energy_ev_per_atom=-1.84 polymorph_energy_mev_per_atom=17 magnetic_moment_mub_per_fu=1.07 pbc="T T T"
Mg -5.173 -1.940 -0.861
Mg -7.794 -3.390 -2.111
Mg -8.030 -0.589 -0.452
Mg -0.079 -0.948 -1.668
Mg -5.945 0.761 -2.511
Mg -3.008 0.370 -1.234
Ce 0.212 -3.799 -3.301
Mg -3.755 3.102 -2.908
Mg -0.569 -1.044 -4.937
Mg -2.696 -2.417 -2.905
Ca -0.842 1.714 -3.304
Mg -5.667 -2.037 -4.156
Mg -8.844 2.130 -2.116
Mg -8.531 -0.686 -3.786
Mg -4.895 -4.736 -2.507
Mg -3.509 0.273 -4.568



4
Lattice="0.000 3.428 3.428 3.428 0.000 3.428 3.428 3.428 0.000" Properties=species:S:1:pos:R:3 comment="HoPaOs2 | the Materials Project | GGA-PBE | relaxed" formation_enthalpy_0k_ev_per_atom=-0.23 final_energy_ev_per_atom=-9.36 magnetic_moment_mub_per_fu=0.00 pbc="T T T"
Os 5.142 5.142 5.142
Pa 0.000 0.000 0.000
Os 1.714 1.714 1.714
Ho 3.428 3.428 3.428



50
Lattice="-8.092 2.710 -2.406 -1.034 -7.369 -4.821 -1.929 -2.289 3.912" Properties=species:S:1:pos:R:3 comment="B | the Materials Project | GGA-PBE | relaxed" formation_enthalpy_0k_ev_per_atom=0.10 final_energy_ev_per_atom=-6.58 polymorph_energy_mev_per_atom=98 pbc="T T T"
B -3.825 -1.071 -1.969
B -7.912 -4.788 -3.144
B -6.493 -3.827 -3.007
B 0.000 0.000 0.000
B -5.356 -6.352 -2.673
B -9.014 -4.144 -4.313
B -3.135 -6.779 0.105
B -4.828 -5.015 -1.548
B -2.589 -3.520 -0.820
B -5.528 -3.474 -1.658
B -2.797 -2.538 -2.321
B -2.730 -0.936 0.663
B -8.160 -4.306 -5.878
B -6.667 -2.522 -4.220
B -4.028 -3.264 1.847
B -5.888 -6.326 -0.947
B -9.486 -2.026 -0.247
B -7.119 -0.829 -1.354
B -6.642 -2.424 -0.927
B -8.103 -2.997 -3.234
B -2.603 -6.805 -1.620
B -3.651 -5.780 -2.541
B -8.289 -2.164 -1.669
B -5.361 -7.916 -1.658
B -8.273 -2.677 -5.063
B -5.640 -3.989 -4.572
B -6.551 -5.136 -5.652
B -4.311 -1.061 -0.230
B -3.130 -5.215 -0.909
B -1.703 -2.403 0.311
B -4.147 -2.629 -1.149
B -2.939 0.046 -0.838
B -8.671 -5.634 -1.830
B -4.560 -5.648 0.105
B -3.663 -8.116 -1.020
B -6.501 0.065 -2.710
B -6.758 -2.509 0.857
B -8.907 -0.628 0.775
B -1.380 -0.845 -0.509
B -3.429 -2.499 0.407
B -3.931 -7.483 -2.672
B -2.910 -5.062 -3.939
B -6.381 -5.456 -3.823
B -7.463 0.134 0.043
B -8.086 -3.187 -0.195
B -7.260 -0.889 1.517
B -1.217 -2.413 -1.428
B -8.791 -0.544 -1.009
B -6.063 -1.027 0.094
B -7.986 -5.610 -4.665



77
Lattice="6.543 0.000 0.000 -0.055 8.570 0.000 -1.040 -2.834 14.725" Properties=species:S:1:pos:R:3 comment="Sr8Li2B22H2O43 | the Materials Project | GGA-PBE | relaxed" formation_enthalpy_0k_ev_per_atom=-2.99 final_energy_ev_per_atom=-7.59 magnetic_moment_mub_per_fu=0.00 pbc="T T T"
Sr 3.758 7.266 5.610
O 1.574 6.438 6.607
B 5.336 6.321 1.503
B 5.840 1.533 6.193
O -0.391 1.459 7.569
O 5.663 -1.119 9.717
H 2.629 5.592 13.882
B 3.859 1.437 4.464
O 3.056 7.108 3.127
B 2.229 -0.008 12.067
B 3.167 3.870 4.575
B 0.112 -0.585 13.222
Sr 5.490 1.315 10.802
Li 3.685 1.204 7.740
O -0.520 -1.417 7.363
O 2.460 1.053 4.732
O 1.925 1.607 7.014
O 2.931 0.165 13.463
O 0.605 2.593 2.212
B 4.490 4.311 6.779
O 5.195 3.961 9.477
B 0.298 6.802 6.274
O 0.935 5.276 11.105
O 2.607 4.777 3.567
B 2.281 1.866 10.151
O 0.273 -0.223 14.663
O 3.958 2.797 3.949
O 4.513 0.460 3.621
B 5.129 3.155 13.819
O 5.179 -0.417 12.845
O 2.392 -1.372 11.598
O 3.425 2.353 9.362
O 0.916 4.386 8.846
O 5.520 2.581 0.427
Sr 3.231 3.015 1.558
O 3.874 -0.702 8.119
B 3.219 5.744 2.658
Li 1.763 4.532 6.985
O 4.190 4.624 5.473
B 1.589 4.299 10.261
O 4.843 3.143 12.513
O 5.175 5.959 0.063
O -0.072 3.155 14.298
O 2.988 4.683 9.993
O 4.613 5.379 2.364
Sr 1.690 -1.530 9.115
B 1.237 5.910 0.945
O 2.023 3.383 5.363
Sr -0.042 4.421 3.923
O 4.992 7.712 1.729
O 3.523 4.129 7.711
B 3.739 3.768 9.150
O 2.517 5.571 1.262
B 0.319 2.581 0.906
Sr 4.901 5.714 11.475
Sr 0.547 0.022 3.250
H 2.819 0.144 0.843
O 0.269 6.153 1.880
O 2.988 0.513 1.724
B -0.392 4.203 8.532
B 1.709 1.968 5.575
O 0.456 -1.976 12.996
O 5.839 4.277 7.156
B 0.958 1.425 7.946
O 4.532 1.350 5.880
B 3.938 -0.377 2.540
O -0.215 6.855 5.008
O 2.841 0.959 11.159
O 0.835 0.357 12.361
Sr 2.217 2.721 13.167
B 4.211 -0.174 13.780
O 0.253 1.775 5.249
B 1.510 6.113 12.185
O 1.490 2.939 10.776
O 1.258 1.112 9.252
O 2.460 5.223 13.002
B 5.150 -1.066 8.451